An optimized crystal structure of MnCr2S4. Source: the Materials Project, functional r²SCAN.

Values from the calculation:
ΔH_f (0 K), eV/f.u.: -7.4
Relative energy among the computed polymorphs, meV/atom: 52
E, eV/atom: -12.05
Symmetry: C2/m, No. 12

Cell lengths 6.8555, 6.8555, 6.0691 Å; angles 63.67, 63.67, 29.72 degrees
Last column: nearest neighbours and their distance in Å.
Atoms (fractional coordinates):
Cr 0.2595 0.2595 0.7301  6 S 2.38-2.49
Cr 0.7405 0.7405 0.2699  6 S 2.38-2.49
S 0.3614 0.3614 0.9789  3 Cr 2.44-2.49, 2 Mn 2.59
S 0.1342 0.1342 0.5415  3 Cr 2.38-2.41, 1 Mn 2.52
S 0.8658 0.8658 0.4585  3 Cr 2.38-2.41, 1 Mn 2.52
S 0.6386 0.6386 0.0211  3 Cr 2.44-2.49, 2 Mn 2.59
Mn 0.0000 0.0000 0.0000  6 S 2.52-2.59

***

An optimized crystal structure of Y3Se4. Source: the Materials Project, functional r²SCAN.

Values from the calculation:
ΔH_f (0 K), eV/f.u.: -15.0
E, eV/atom: -19.02
Symmetry: C2/m, No. 12

Cell lengths 8.1000, 8.1603, 16.1483 Å; angles 59.64, 60.22, 59.75 degrees
Last column: nearest neighbours and their distance in Å.
Atoms (fractional coordinates):
Se 0.7460 0.7432 0.8758  4 Y 2.83-2.89
Se 0.2481 0.7541 0.1246  4 Y 2.81-2.86
Se 0.2437 0.7560 0.8722  5 Y 2.87-2.90
Se 0.7494 0.2508 0.1245  6 Y 2.85-2.88
Se 0.2563 0.2468 0.3750  4 Y 2.81-2.86
Se 0.7508 0.7521 0.6225  5 Y 2.87-2.95
Se 0.7437 0.7532 0.1250  4 Y 2.81-2.86
Se 0.2540 0.2568 0.6242  4 Y 2.83-2.89
Se 0.2492 0.2479 0.8775  5 Y 2.87-2.95
Se 0.7519 0.2459 0.3754  4 Y 2.81-2.86
Se 0.7563 0.2440 0.6278  5 Y 2.87-2.90
Se 0.2481 0.2486 0.1246  4 Y 2.81-2.86
Se 0.2539 0.7408 0.6242  4 Y 2.83-2.89
Se 0.2506 0.7492 0.3755  6 Y 2.85-2.88
Se 0.7461 0.2592 0.8758  4 Y 2.83-2.89
Se 0.7519 0.7514 0.3754  4 Y 2.81-2.86
Y 0.5138 0.4988 0.4943  6 Se 2.83-2.90
Y 0.0000 0.5000 0.7500  6 Se 2.85-2.87
Y 0.0000 0.0000 0.2500  6 Se 2.85-2.86
Y 0.0054 0.4935 0.4956  6 Se 2.81-2.95
Y 0.9946 0.9902 0.0044  6 Se 2.81-2.95
Y 0.4862 0.5012 0.0057  6 Se 2.83-2.90
Y 0.0054 0.0098 0.4956  6 Se 2.81-2.95
Y 0.9946 0.5065 0.0044  6 Se 2.81-2.95
Y 0.5000 0.0000 0.7500  6 Se 2.83-2.89
Y 0.5000 0.5000 0.2500  6 Se 2.86-2.88
Y 0.5000 0.0000 0.2500  6 Se 2.86-2.88
Y 0.5000 0.5000 0.7500  6 Se 2.83-2.89

***

An optimized crystal structure of CaMgPb. Source: the Materials Project, functional r²SCAN.

Values from the calculation:
ΔH_f (0 K), eV/f.u.: -1.7
E, eV/atom: -23.07
Symmetry: Pnma, No. 62

Cell lengths 4.7317, 7.9314, 8.8737 Å; angles 90.00, 90.00, 90.00 degrees
Last column: nearest neighbours and their distance in Å.
Atoms (fractional coordinates):
Ca 0.7500 0.4796 0.3168  5 Pb 3.29-3.42, 3 Mg 3.49-3.52
Ca 0.2500 0.5204 0.6832  5 Pb 3.29-3.42, 3 Mg 3.49-3.52
Ca 0.7500 0.9796 0.1832  5 Pb 3.29-3.42, 3 Mg 3.49-3.52
Ca 0.2500 0.0204 0.8168  5 Pb 3.29-3.42, 3 Mg 3.49-3.52
Pb 0.2500 0.7632 0.3829  4 Mg 2.94-3.04, 1 Ca 3.29
Pb 0.7500 0.7368 0.8829  4 Mg 2.94-3.04, 1 Ca 3.29
Pb 0.2500 0.2632 0.1171  4 Mg 2.94-3.04, 1 Ca 3.29
Pb 0.7500 0.2368 0.6171  4 Mg 2.94-3.04, 1 Ca 3.29
Mg 0.7500 0.3588 0.9390  4 Pb 2.94-3.04
Mg 0.7500 0.8588 0.5610  4 Pb 2.94-3.04
Mg 0.2500 0.1412 0.4390  4 Pb 2.94-3.04
Mg 0.2500 0.6412 0.0610  4 Pb 2.94-3.04

***

An optimized crystal structure of SbPO5. Source: the Materials Project, functional r²SCAN.

Values from the calculation:
ΔH_f (0 K), eV/f.u.: -13.8
E, eV/atom: -11.20
Symmetry: C2/c, No. 15

Cell lengths 5.2682, 5.2682, 7.0543 Å; angles 106.36, 106.36, 99.94 degrees
Last column: nearest neighbours and their distance in Å.
Atoms (fractional coordinates):
Sb 0.0000 0.0000 0.5000  6 O 1.91-2.00
Sb 0.0000 0.0000 0.0000  6 O 1.91-2.00
P 0.3324 0.6676 0.2500  4 O 1.53-1.54
P 0.6676 0.3324 0.7500  4 O 1.53-1.54
O 0.7412 0.6258 0.9037  1 P 1.53
O 0.8678 0.3144 0.6281  1 P 1.54
O 0.3144 0.8678 0.1281  1 P 1.54
O 0.6258 0.7412 0.4037  1 P 1.53
O 0.9083 0.0917 0.2500  2 Sb 1.91
O 0.0917 0.9083 0.7500  2 Sb 1.91
O 0.3742 0.2588 0.5963  1 P 1.53
O 0.1322 0.6856 0.3719  1 P 1.54
O 0.2588 0.3742 0.0963  1 P 1.53
O 0.6856 0.1322 0.8719  1 P 1.54

***

Please write out number 3 again, unchanged.
An optimized crystal structure of CaMgPb. Source: the Materials Project, functional r²SCAN.

Values from the calculation:
ΔH_f (0 K), eV/f.u.: -1.7
E, eV/atom: -23.07
Symmetry: Pnma, No. 62

Cell lengths 4.7317, 7.9314, 8.8737 Å; angles 90.00, 90.00, 90.00 degrees
Last column: nearest neighbours and their distance in Å.
Atoms (fractional coordinates):
Ca 0.7500 0.4796 0.3168  5 Pb 3.29-3.42, 3 Mg 3.49-3.52
Ca 0.2500 0.5204 0.6832  5 Pb 3.29-3.42, 3 Mg 3.49-3.52
Ca 0.7500 0.9796 0.1832  5 Pb 3.29-3.42, 3 Mg 3.49-3.52
Ca 0.2500 0.0204 0.8168  5 Pb 3.29-3.42, 3 Mg 3.49-3.52
Pb 0.2500 0.7632 0.3829  4 Mg 2.94-3.04, 1 Ca 3.29
Pb 0.7500 0.7368 0.8829  4 Mg 2.94-3.04, 1 Ca 3.29
Pb 0.2500 0.2632 0.1171  4 Mg 2.94-3.04, 1 Ca 3.29
Pb 0.7500 0.2368 0.6171  4 Mg 2.94-3.04, 1 Ca 3.29
Mg 0.7500 0.3588 0.9390  4 Pb 2.94-3.04
Mg 0.7500 0.8588 0.5610  4 Pb 2.94-3.04
Mg 0.2500 0.1412 0.4390  4 Pb 2.94-3.04
Mg 0.2500 0.6412 0.0610  4 Pb 2.94-3.04

***

Q: Which of these has the highest E?
A: SbPO5

***

Repeat the fourth record exactly.
An optimized crystal structure of SbPO5. Source: the Materials Project, functional r²SCAN.

Values from the calculation:
ΔH_f (0 K), eV/f.u.: -13.8
E, eV/atom: -11.20
Symmetry: C2/c, No. 15

Cell lengths 5.2682, 5.2682, 7.0543 Å; angles 106.36, 106.36, 99.94 degrees
Last column: nearest neighbours and their distance in Å.
Atoms (fractional coordinates):
Sb 0.0000 0.0000 0.5000  6 O 1.91-2.00
Sb 0.0000 0.0000 0.0000  6 O 1.91-2.00
P 0.3324 0.6676 0.2500  4 O 1.53-1.54
P 0.6676 0.3324 0.7500  4 O 1.53-1.54
O 0.7412 0.6258 0.9037  1 P 1.53
O 0.8678 0.3144 0.6281  1 P 1.54
O 0.3144 0.8678 0.1281  1 P 1.54
O 0.6258 0.7412 0.4037  1 P 1.53
O 0.9083 0.0917 0.2500  2 Sb 1.91
O 0.0917 0.9083 0.7500  2 Sb 1.91
O 0.3742 0.2588 0.5963  1 P 1.53
O 0.1322 0.6856 0.3719  1 P 1.54
O 0.2588 0.3742 0.0963  1 P 1.53
O 0.6856 0.1322 0.8719  1 P 1.54

***

Q: Which of these has the lowest E?
A: CaMgPb